# 1
Computed, not measured: an optimized crystal structure of CaCd2As2 at the r²SCAN level of DFT.

Lattice parameters (Å, degrees): 4.4139 4.4139 7.2061 90.00 90.00 120.00
With the nearest neighbours (Å) after each atom.
Space group P-3m1 (No. 164)
Inequivalent atoms, fractional coordinates:
Ca  0.0000  0.0000  0.0000  6 As 3.07
Cd  0.3333  0.6667  0.6333  4 As 2.71-2.85
As  0.3333  0.6667  0.2377  4 Cd 2.71-2.85

Properties
* energy of formation: -736 meV per atom


# 2
Computed, not measured: an optimized crystal structure of Tm2InPd2 at the r²SCAN level of DFT.

Lattice parameters (Å, degrees): 7.6789 7.6789 3.5754 90.00 90.00 90.00
With the nearest neighbours (Å) after each atom.
Space group P4/mbm (No. 127)
Inequivalent atoms, fractional coordinates:
Tm  0.1719  0.3281  0.0000  6 Pd 2.81-2.94
In  0.0000  0.0000  0.5000  4 Pd 3.02, 8 Tm 3.36
Pd  0.1284  0.6284  0.5000  1 Pd 2.79, 6 Tm 2.81-2.94, 2 In 3.02

Properties
* energy of formation: -958 meV per atom